(1)
VASP calculation (PBE with a Hubbard U) on a geometry-optimized Ba2CeCrO6 structure.

Output
- Raw total energy: -7.33 eV per atom
- ΔE_f: -3029 meV per atom
- Corrected total energy (MP2020 scheme): -7.940 eV per atom

Lattice parameters (Å, degrees): 8.433 8.433 8.433 90.00 90.00 90.00
Space group Fm-3m (No. 225)
Inequivalent atoms, fractional coordinates:
Ba1 0.250 0.250 0.250 [8 per cell]
Ce1 0.000 0.000 0.000 [4 per cell]
Cr1 0.000 0.000 0.500 [4 per cell]
O1 0.000 0.000 0.266 [24 per cell]



(2)
VASP calculation (PBE with a Hubbard U) on a geometry-optimized MgMn2O5 structure.

Output
- Raw total energy: -6.60 eV per atom
- ΔE_f: -1861 meV per atom
- Corrected total energy (MP2020 scheme): -7.444 eV per atom

Lattice parameters (Å, degrees): 3.571 11.482 4.433 90.00 90.00 90.00
Space group Pmmn (No. 59, origin choice 2)
Inequivalent atoms, fractional coordinates:
Mg1 0.250 0.250 0.116 [2 per cell]
Mn1 0.250 0.597 0.433 [4 per cell]
O1 0.250 0.077 0.455 [4 per cell]
O2 0.250 0.633 0.048 [4 per cell]
O3 0.250 0.750 0.574 [2 per cell]



(3)
VASP calculation (PBE with a Hubbard U) on a geometry-optimized Mn3O4 structure.

Output
- Raw total energy: -7.64 eV per atom
- ΔE_f: -1995 meV per atom
- Corrected total energy (MP2020 scheme): -8.749 eV per atom

Lattice parameters (Å, degrees): 3.069 9.743 9.992 90.00 90.09 90.00
Space group Pm (No. 6)
Inequivalent atoms, fractional coordinates:
Mn1 0.000 0.000 0.000 [1 per cell]
Mn2 0.016 0.500 0.211 [1 per cell]
Mn3 0.389 0.500 0.712 [1 per cell]
Mn4 0.405 0.000 0.500 [1 per cell]
Mn5 0.488 0.179 0.242 [2 per cell]
Mn6 0.494 0.320 0.972 [2 per cell]
Mn7 0.911 0.320 0.472 [2 per cell]
Mn8 0.917 0.180 0.742 [2 per cell]
O1 0.075 0.251 0.107 [2 per cell]
O2 0.330 0.251 0.607 [2 per cell]
O3 0.491 0.362 0.328 [2 per cell]
O4 0.497 0.138 0.886 [2 per cell]
O5 0.501 0.000 0.155 [1 per cell]
O6 0.513 0.500 0.058 [1 per cell]
O7 0.892 0.500 0.558 [1 per cell]
O8 0.904 0.000 0.655 [1 per cell]
O9 0.908 0.138 0.386 [2 per cell]
O10 0.914 0.362 0.828 [2 per cell]



(4)
VASP calculation (PBE with a Hubbard U) on a geometry-optimized Sr3MgFe2Br2O5 structure.

Output
- Raw total energy: -5.42 eV per atom
- ΔE_f: -2060 meV per atom
- Corrected total energy (MP2020 scheme): -6.031 eV per atom

Lattice parameters (Å, degrees): 5.636 5.634 17.026 90.00 99.31 90.00
Space group C2 (No. 5)
Inequivalent atoms, fractional coordinates:
Sr1 0.000 0.000 0.000 [2 per cell]
Sr2 0.111 0.000 0.225 [4 per cell]
Mg1 0.000 0.741 0.500 [2 per cell]
Fe1 0.057 0.500 0.115 [4 per cell]
Br1 0.155 0.500 0.319 [4 per cell]
O1 0.000 0.500 0.000 [2 per cell]
O2 0.184 0.250 0.866 [4 per cell]
O3 0.184 0.750 0.867 [4 per cell]



(5)
VASP calculation (PBE with a Hubbard U) on a geometry-optimized NaCo3O6 structure.

Output
- Raw total energy: -5.70 eV per atom
- ΔE_f: -1366 meV per atom
- Corrected total energy (MP2020 scheme): -6.600 eV per atom

Lattice parameters (Å, degrees): 4.900 8.469 5.913 90.00 106.33 90.00
Space group P2 (No. 3)
Inequivalent atoms, fractional coordinates:
Na1 0.000 0.000 0.000 [1 per cell]
Na2 0.500 0.492 0.000 [1 per cell]
Co1 0.000 0.163 0.500 [1 per cell]
Co2 0.000 0.495 0.500 [1 per cell]
Co3 0.000 0.828 0.500 [1 per cell]
Co4 0.500 0.328 0.500 [1 per cell]
Co5 0.500 0.662 0.500 [1 per cell]
Co6 0.500 0.995 0.500 [1 per cell]
O1 0.218 0.994 0.671 [2 per cell]
O2 0.222 0.331 0.671 [2 per cell]
O3 0.226 0.660 0.672 [2 per cell]
O4 0.271 0.161 0.329 [2 per cell]
O5 0.272 0.827 0.330 [2 per cell]
O6 0.275 0.498 0.329 [2 per cell]



(6)
VASP calculation (PBE with a Hubbard U) on a geometry-optimized Li5Nb2Fe5O12 structure.

Output
- Raw total energy: -6.77 eV per atom
- ΔE_f: -2102 meV per atom
- Corrected total energy (MP2020 scheme): -7.580 eV per atom

Lattice parameters (Å, degrees): 5.140 9.081 10.093 90.00 101.07 90.00
Space group C2 (No. 5)
Inequivalent atoms, fractional coordinates:
Li1 0.000 0.000 0.000 [2 per cell]
Li2 0.242 0.002 0.756 [4 per cell]
Li3 0.246 0.146 0.242 [4 per cell]
Nb1 0.000 0.326 0.000 [2 per cell]
Nb2 0.000 0.812 0.500 [2 per cell]
Fe1 0.000 0.164 0.500 [2 per cell]
Fe2 0.000 0.519 0.500 [2 per cell]
Fe3 0.000 0.667 0.000 [2 per cell]
Fe4 0.248 0.825 0.235 [4 per cell]
O1 0.111 0.161 0.877 [4 per cell]
O2 0.113 0.668 0.361 [4 per cell]
O3 0.121 0.488 0.879 [4 per cell]
O4 0.123 0.985 0.383 [4 per cell]
O5 0.130 0.328 0.378 [4 per cell]
O6 0.134 0.830 0.879 [4 per cell]



(7)
VASP calculation (PBE with a Hubbard U) on a geometry-optimized Mg2NiIrO6 structure.

Output
- Raw total energy: -5.96 eV per atom
- ΔE_f: -1873 meV per atom
- Corrected total energy (MP2020 scheme): -6.623 eV per atom

Lattice parameters (Å, degrees): 5.110 5.322 9.104 90.00 124.10 90.00
Space group P2_1/c (No. 14)
Inequivalent atoms, fractional coordinates:
Mg1 0.236 0.064 0.249 [4 per cell]
Ni1 0.000 0.000 0.500 [2 per cell]
Ir1 0.500 0.000 0.000 [2 per cell]
O1 0.118 0.181 0.930 [4 per cell]
O2 0.252 0.691 0.925 [4 per cell]
O3 0.396 0.068 0.758 [4 per cell]



(8)
VASP calculation (PBE with a Hubbard U) on a geometry-optimized MgMn6O10F2 structure.

Output
- Raw total energy: -6.95 eV per atom
- ΔE_f: -2101 meV per atom
- Corrected total energy (MP2020 scheme): -7.885 eV per atom

Lattice parameters (Å, degrees): 5.711 5.899 7.743 105.89 99.88 113.01
Space group P1 (No. 1)
Inequivalent atoms, fractional coordinates:
Mg1 0.000 0.000 0.000 [1 per cell]
Mn1 0.000 0.501 0.001 [1 per cell]
Mn2 0.001 0.000 0.500 [1 per cell]
Mn3 0.320 0.557 0.378 [1 per cell]
Mn4 0.369 0.988 0.822 [1 per cell]
Mn5 0.631 0.013 0.178 [1 per cell]
Mn6 0.682 0.442 0.622 [1 per cell]
O1 0.031 0.693 0.830 [1 per cell]
O2 0.236 0.841 0.558 [1 per cell]
O3 0.304 0.308 0.500 [1 per cell]
O4 0.356 0.703 0.177 [1 per cell]
O5 0.415 0.146 0.093 [1 per cell]
O6 0.586 0.855 0.907 [1 per cell]
O7 0.645 0.298 0.824 [1 per cell]
O8 0.698 0.690 0.499 [1 per cell]
O9 0.766 0.159 0.443 [1 per cell]
O10 0.970 0.307 0.171 [1 per cell]
F1 0.110 0.171 0.817 [1 per cell]
F2 0.890 0.828 0.183 [1 per cell]